Computed, not measured: a relaxed BaH16O10 crystal at the PBE-GGA level of DFT.

Values from the calculation:
total energy = -5.0568 eV/atom
magnetization = 0.00 μB per atom
space group = No. 7
energy of formation from the pure elements = -1397 meV/atom
offset from the most stable computed form = 1 meV/atom

```
BaH16O10
1.0
-1.188 -5.029 4.014
-2.381 -3.453 -5.031
10.401 -4.129 -2.095
Ba H O
2 32 20
Direct
0.996 0.004 0.252
0.004 0.004 0.752
0.960 0.545 0.371
0.722 0.598 0.353
0.280 0.402 0.353
0.147 0.334 0.464
0.404 0.721 0.353
0.333 0.853 0.464
0.543 0.040 0.370
0.598 0.278 0.353
0.278 0.598 0.853
0.040 0.545 0.871
0.720 0.402 0.853
0.853 0.334 0.964
0.596 0.721 0.853
0.667 0.853 0.964
0.402 0.278 0.853
0.457 0.040 0.870
0.043 0.457 0.631
0.279 0.401 0.648
0.736 0.603 0.660
0.848 0.664 0.541
0.598 0.280 0.648
0.666 0.147 0.536
0.457 0.960 0.630
0.403 0.723 0.648
0.957 0.457 0.131
0.721 0.401 0.148
0.264 0.603 0.160
0.152 0.664 0.041
0.402 0.280 0.148
0.334 0.147 0.036
0.543 0.960 0.130
0.597 0.723 0.148
0.501 0.499 0.318
0.499 0.499 0.818
0.504 0.501 0.686
0.496 0.501 0.186
0.858 0.657 0.382
0.140 0.346 0.377
0.345 0.860 0.376
0.657 0.140 0.379
0.142 0.657 0.882
0.860 0.346 0.877
0.655 0.860 0.876
0.343 0.140 0.879
0.142 0.343 0.620
0.870 0.658 0.628
0.655 0.141 0.624
0.344 0.859 0.621
0.858 0.343 0.120
0.130 0.658 0.128
0.345 0.141 0.124
0.656 0.859 0.121
```



Computed, not measured: a relaxed BaH16O10 crystal at the PBE-GGA level of DFT.

Values from the calculation:
total energy = -5.0294 eV/atom
magnetization = 0.00 μB per atom
space group = No. 1
energy of formation from the pure elements = -1370 meV/atom
offset from the most stable computed form = 28 meV/atom

```
BaH16O10
1.0
-0.799 -0.591 6.310
-4.026 -4.895 -1.034
9.421 -7.092 0.254
Ba H O
2 32 20
Direct
0.995 0.994 0.494
0.997 0.998 0.008
0.612 0.734 0.614
0.546 0.970 0.621
0.325 0.152 0.712
0.397 0.296 0.608
0.718 0.391 0.614
0.952 0.465 0.633
0.272 0.607 0.607
0.167 0.725 0.713
0.720 0.221 0.216
0.599 0.290 0.103
0.398 0.727 0.100
0.459 0.959 0.142
0.719 0.608 0.100
0.779 0.723 0.218
0.276 0.410 0.099
0.045 0.461 0.143
0.400 0.262 0.399
0.302 0.153 0.287
0.600 0.704 0.395
0.553 0.929 0.351
0.180 0.678 0.285
0.276 0.579 0.396
0.711 0.383 0.396
0.940 0.429 0.350
0.383 0.709 0.887
0.441 0.941 0.862
0.598 0.267 0.886
0.708 0.119 0.789
0.099 0.331 0.784
0.278 0.389 0.885
0.716 0.600 0.888
0.953 0.537 0.881
0.485 0.498 0.572
0.496 0.496 0.048
0.489 0.485 0.446
0.488 0.481 0.922
0.670 0.878 0.626
0.338 0.150 0.629
0.861 0.337 0.631
0.135 0.671 0.634
0.662 0.165 0.141
0.339 0.858 0.137
0.840 0.676 0.145
0.149 0.348 0.135
0.344 0.123 0.365
0.666 0.824 0.356
0.142 0.640 0.362
0.833 0.316 0.355
0.319 0.843 0.863
0.655 0.121 0.866
0.132 0.319 0.864
0.860 0.659 0.880
```



Computed, not measured: a relaxed BaH16O10 crystal at the PBE-GGA level of DFT.

Values from the calculation:
total energy = -5.0567 eV/atom
magnetization = 0.00 μB per atom
space group = No. 7
energy of formation from the pure elements = -1397 meV/atom
offset from the most stable computed form = 1 meV/atom

```
BaH16O10
1.0
-4.223 2.277 4.368
-4.586 0.295 -4.587
-3.203 -10.713 2.488
Ba H O
2 32 20
Direct
0.999 0.995 0.749
0.001 0.995 0.249
0.045 0.455 0.625
0.283 0.397 0.647
0.721 0.589 0.649
0.850 0.660 0.535
0.592 0.273 0.650
0.662 0.151 0.535
0.401 0.718 0.645
0.447 0.959 0.624
0.717 0.397 0.147
0.955 0.455 0.125
0.279 0.589 0.149
0.150 0.660 0.035
0.408 0.273 0.150
0.338 0.151 0.035
0.553 0.959 0.124
0.599 0.718 0.145
0.956 0.532 0.376
0.718 0.594 0.356
0.157 0.332 0.465
0.277 0.399 0.349
0.403 0.718 0.353
0.328 0.845 0.466
0.543 0.040 0.375
0.600 0.279 0.355
0.044 0.532 0.876
0.282 0.594 0.856
0.843 0.332 0.965
0.723 0.399 0.849
0.597 0.718 0.853
0.672 0.845 0.966
0.457 0.040 0.875
0.400 0.279 0.855
0.500 0.497 0.687
0.500 0.497 0.187
0.498 0.496 0.314
0.502 0.496 0.814
0.146 0.340 0.617
0.859 0.649 0.622
0.648 0.136 0.622
0.337 0.851 0.616
0.854 0.340 0.117
0.141 0.649 0.122
0.352 0.136 0.122
0.663 0.851 0.116
0.856 0.649 0.385
0.140 0.340 0.378
0.345 0.856 0.380
0.658 0.141 0.383
0.144 0.649 0.885
0.860 0.340 0.878
0.655 0.856 0.880
0.342 0.141 0.883
```



Computed, not measured: a relaxed BaH2O3 crystal at the PBE-GGA level of DFT.

Values from the calculation:
total energy = -5.0111 eV/atom
magnetization = 0.33 μB per atom
space group = No. 26
energy of formation from the pure elements = -1430 meV/atom
offset from the most stable computed form = 40 meV/atom

```
BaH2O3
1.0
-3.238 -1.467 1.886
-1.612 -3.010 -5.111
3.608 -5.364 2.021
Ba H O
2 4 6
Direct
0.000 0.164 0.745
0.000 0.836 0.245
0.206 0.632 0.801
0.794 0.632 0.801
0.794 0.368 0.301
0.206 0.368 0.301
0.000 0.717 0.847
0.000 0.283 0.347
0.500 0.471 0.742
0.500 0.529 0.242
0.500 0.943 0.523
0.500 0.057 0.023
```